Compound: Sn2SbSe2I3
Source: the Materials Project database
Functional: GGA-PBE
Structure: relaxed

Calculated values
Formation energy from the elements = -493.0 meV/atom

```
data_Sn2SbSe2I3
_space_group_name_H-M_alt 'P 1'
_space_group_IT_number 1
_cell_length_a 7.809
_cell_length_b 7.809
_cell_length_c 19.038
_cell_angle_alpha 90.00
_cell_angle_beta 90.00
_cell_angle_gamma 147.69
loop_
_space_group_symop_operation_xyz
'x,y,z'
loop_
_atom_site_label
_atom_site_fract_x
_atom_site_fract_y
_atom_site_fract_z
Sn1 0.877 0.123 0.503
Sn2 0.137 0.863 0.515
Sn3 0.863 0.137 0.015
Sn4 0.123 0.877 0.003
Sb1 0.209 0.791 0.295
Sb2 0.791 0.209 0.795
Se1 0.280 0.720 0.419
Se2 0.724 0.276 0.581
Se3 0.276 0.724 0.081
Se4 0.720 0.280 0.919
I1 0.573 0.427 0.343
I2 0.445 0.555 0.609
I3 0.555 0.445 0.109
I4 0.427 0.573 0.843
I5 0.842 0.158 0.251
I6 0.158 0.842 0.751
```